Record 1
Density functional theory data (GGA-PBE) for a geometry-optimized GaP2H15C5N2O8 structure.

ΔH_f (0 K) (meV per atom): -1025
SG: P2_1/c (14)

The structure in POSCAR format:
```
GaP2H15C5N2O8
1.0
9.0990 0.0000 0.0000
0.0000 15.4682 0.0000
-8.9807 0.0000 9.2008
Ga P H C N O
4 8 60 20 8 32
Cartesian
-0.0488 0.0664 2.2464
-4.5391 7.6677 6.8468
4.6575 7.8005 2.3540
0.1672 15.4019 6.9544
-3.0580 9.4051 4.6405
1.4323 13.7973 0.0401
3.1345 9.0882 0.0274
-1.3558 14.1142 4.6278
1.4742 1.3541 4.5730
-3.0161 6.3800 9.1734
-1.3140 1.6710 9.1607
3.1764 6.0631 4.5603
-4.0084 3.2451 4.4097
-8.4987 4.4890 9.0101
-7.2727 2.7234 7.8245
-2.7823 5.0107 3.2241
-1.8877 3.7333 2.3495
-6.3781 4.0009 6.9499
-3.0383 1.9896 3.5526
-7.5287 5.7446 8.1530
-5.0942 1.8567 6.9497
-0.6039 5.8774 2.3493
1.8229 10.8629 0.1152
-2.6674 12.3395 4.7156
-3.0770 2.0083 5.3309
1.4133 5.7258 0.7305
1.6855 2.7245 1.0613
-2.8048 5.0096 5.6617
-5.6574 0.8882 9.0697
-1.1671 6.8459 4.4693
-0.1400 10.9008 3.4485
-4.6304 12.3015 8.0489
0.7615 9.5784 2.6371
-3.7289 13.6240 7.2375
-1.0120 2.9270 4.4760
-5.5023 4.8071 9.0765
-4.2074 3.1679 7.7899
0.2830 4.5663 3.1895
-0.4032 8.9983 4.7277
4.0872 14.2040 0.1273
-1.9189 3.7370 6.5509
2.5714 3.9971 1.9505
-2.4530 11.4711 7.2504
2.0373 11.7312 2.6500
-3.9688 1.2642 9.0735
0.5215 6.4699 4.4731
-0.1646 10.9020 6.0114
4.3257 12.3004 1.4110
5.6207 10.6611 0.1244
1.1304 12.5412 4.7248
3.8472 1.8442 1.9633
-0.6431 5.8899 6.5637
4.7487 3.1667 1.1519
0.2584 4.5674 5.7523
1.2854 8.6223 4.7316
5.7758 14.5800 0.1311
2.9232 10.4586 3.5391
-1.5672 12.7437 8.1395
-1.2950 9.7425 8.4703
3.1953 13.4599 3.8699
2.7858 3.1288 4.4852
-1.7046 4.6054 9.0856
0.7222 9.5909 6.8516
5.2126 13.6115 2.2511
7.6470 9.7237 1.0479
3.1567 13.4787 5.6483
6.4964 11.4674 2.2509
2.0061 11.7350 6.8513
2.9007 10.4575 5.9767
7.3910 12.7448 1.3763
8.6170 10.9792 0.1908
4.1267 12.2231 4.7912
-3.0997 2.6354 4.4341
-7.5900 5.0988 9.0345
-6.3638 3.3440 7.8288
-1.8735 4.3902 3.2284
-5.0912 2.5175 7.8238
-0.6009 5.2166 3.2234
2.5959 3.3424 1.0694
-1.8944 4.3917 5.6698
0.7407 10.2481 3.5041
-3.7497 12.9543 8.1045
3.8680 2.5140 1.0963
-0.6223 5.2201 5.6967
2.0128 11.0765 3.5310
-2.4775 12.1259 8.1315
0.7193 10.2517 5.9775
5.2096 12.9507 1.3771
1.9918 11.0781 5.9725
6.4822 12.1243 1.3720
7.7084 10.3695 0.1663
3.2181 12.8329 4.7667
-1.9180 3.5286 4.4486
-6.4083 4.2055 9.0490
-4.9639 1.6870 9.0601
-0.4735 6.0471 4.4597
0.5919 9.4211 4.7412
5.0822 13.7812 0.1408
6.5267 11.2628 0.1518
2.0363 11.9396 4.7522
-0.6166 1.5596 1.3197
-5.1070 6.1745 5.9201
-4.1097 9.1010 5.7829
0.3807 14.1014 1.1825
1.7397 9.8316 0.0782
-2.7506 13.3708 4.6786
-5.9379 8.1398 7.9853
-1.4476 15.0625 3.3848
-2.5723 10.8345 4.7926
1.9180 12.3679 0.1922
-1.9000 8.3848 4.6593
2.5903 14.8176 0.0589
-4.7082 10.0723 9.1394
-0.2179 13.1301 4.5390
3.1714 8.2010 1.3158
-1.3190 15.0014 5.9162
1.4373 0.4668 3.2846
-3.0530 7.2673 7.8850
0.3363 2.3381 4.6618
4.8266 5.3960 0.0614
-2.4719 0.6507 9.1419
2.0184 7.0835 4.5415
-1.7996 3.1003 9.0087
2.6907 4.6338 4.4082
1.5660 0.4057 5.8160
6.0563 7.3284 1.2156
2.8690 2.0975 4.5222
-1.6214 5.6367 9.1226
-0.2623 1.3669 8.0183
4.2280 6.3673 3.4179
5.2253 9.2937 3.2807
0.7350 13.9086 7.8812
```



Record 2
Density functional theory data (GGA-PBE) for a geometry-optimized LuZn structure.

ΔH_f (0 K) (meV per atom): -361
SG: Pm-3m (221)

The structure in POSCAR format:
```
LuZn
1.0
3.4970 0.0000 0.0000
0.0000 3.4970 0.0000
0.0000 0.0000 3.4970
Lu Zn
1 1
Cartesian
0.0000 0.0000 0.0000
1.7485 1.7485 1.7485
```



Record 3
Density functional theory data (GGA-PBE) for a geometry-optimized Mg14MnCr structure.

Polymorph energy (0 for the lowest one) (meV per atom): 0.0
ΔH_f (0 K) (meV per atom): 122
SG: P-6m2 (187)

The structure in POSCAR format:
```
Mg14MnCr
1.0
6.3139 0.0000 0.0000
-3.1569 5.4680 0.0000
0.0000 0.0000 10.0263
Mg Mn Cr
14 1 1
Cartesian
0.0000 0.0000 2.5000
0.0000 0.0000 7.5262
-1.5394 2.7566 2.4978
-1.5394 2.7566 7.5285
1.5843 0.9147 0.0000
1.5868 0.9162 5.0131
1.5394 2.7566 2.4978
1.5394 2.7566 7.5285
0.0000 5.4228 2.4978
0.0000 5.4228 7.5285
4.7270 0.9162 5.0131
3.1569 3.6357 5.0131
4.7296 0.9147 0.0000
3.1569 3.6386 0.0000
0.0000 3.6453 0.0000
0.0000 3.6453 5.0131
```



Record 4
Density functional theory data (GGA-PBE) for a geometry-optimized Cd3P2 structure.

Polymorph energy (0 for the lowest one) (meV per atom): 190.3
ΔH_f (0 K) (meV per atom): 145
SG: Pn-3m (224)

The structure in POSCAR format:
```
Cd3P2
1.0
6.2662 0.0000 0.0000
0.0000 6.2662 0.0000
0.0000 0.0000 6.2662
Cd P
6 4
Cartesian
1.5665 1.5665 4.6996
1.5665 4.6996 1.5665
1.5665 4.6996 4.6996
4.6996 1.5665 1.5665
4.6996 1.5665 4.6996
4.6996 4.6996 1.5665
0.0000 0.0000 0.0000
0.0000 3.1331 3.1331
3.1331 0.0000 3.1331
3.1331 3.1331 0.0000
```



Record 5
Density functional theory data (GGA-PBE) for a geometry-optimized Sm11Y5O24 structure.

ΔH_f (0 K) (meV per atom): -3891
SG: P1 (1)

The structure in POSCAR format:
```
Sm11Y5O24
1.0
9.4448 0.0000 0.0000
-3.1395 8.9086 0.0000
-3.1531 -4.4535 7.7239
Sm Y O
11 5 24
Cartesian
0.0000 0.0000 0.0000
-3.1123 2.2256 3.8533
-3.1259 5.9859 2.1780
-0.1808 0.1456 4.1037
-0.1461 6.8227 0.2706
0.0271 -3.3379 6.2765
3.1635 1.5388 2.1716
2.7492 1.3859 5.7955
2.9227 4.6055 4.0886
6.1283 2.3514 0.2359
5.9152 -1.2450 6.0329
-0.3693 3.6373 1.9343
-0.3820 3.1907 6.0391
2.7685 -1.9585 4.3496
2.7614 4.7532 0.4971
6.3069 -1.1241 2.4124
-0.9243 -0.7004 2.0178
-2.2668 -3.1934 5.8521
-2.5100 0.0433 4.3945
-2.7266 3.2876 5.8924
-2.6100 0.1419 7.6708
0.4085 -2.1254 4.3364
-0.6918 2.4559 3.8727
2.2635 0.1365 0.5570
-0.7036 5.8630 2.3662
1.8708 3.4920 2.3046
2.1594 0.1867 3.7846
0.4692 0.9889 6.2148
3.7876 2.7279 0.1515
2.4375 -3.4485 6.0794
2.1952 7.0635 0.4781
5.0089 -2.1900 3.9779
1.8526 3.6254 5.9626
5.4211 0.9419 1.9992
3.6435 -0.7298 6.1736
4.0205 5.5710 2.2296
4.0383 2.5159 4.1949
6.7046 3.6979 2.0876
6.9546 6.5747 0.0150
8.4716 2.0788 0.3662
```



Record 6
Density functional theory data (GGA-PBE) for a geometry-optimized Na6Hf2Zr2Si5SO24 structure.

ΔH_f (0 K) (meV per atom): -3086
SG: P1 (1)

The structure in POSCAR format:
```
Na6Hf2Zr2Si5SO24
1.0
9.1658 0.0000 0.0000
-4.5799 7.9456 0.0000
-0.0062 -0.0177 23.0005
Na Hf Zr Si S O
18 6 6 15 3 72
Cartesian
0.0000 0.0000 0.0000
-1.6581 2.9110 11.4011
-2.0771 7.9251 11.4595
-0.3774 5.0581 22.8920
1.2330 2.6706 21.0068
1.2475 2.6677 9.5359
-1.6715 7.7654 3.7863
0.0273 5.3208 7.6619
2.4526 5.2816 19.1886
4.2026 2.4107 7.6098
1.1135 7.8913 17.2014
4.1652 2.9075 22.9611
2.9577 5.0828 11.4554
5.9541 0.1021 5.6601
4.5337 2.6537 15.2902
5.7097 5.2755 1.9283
8.7290 0.2548 7.6162
5.8202 5.4479 13.3866
1.2845 2.5853 6.1442
1.3416 2.6395 12.9151
5.8469 0.0186 9.1070
5.9221 0.0944 2.3083
5.7453 5.2913 5.2830
5.8337 5.3057 9.9465
1.3236 2.6313 1.4459
1.3608 2.7119 17.6445
1.2292 7.8481 13.7943
5.7415 0.0560 20.5969
5.8913 5.2326 21.4788
5.9188 5.3415 16.7359
-0.0978 0.3031 3.7989
-1.9676 7.6077 7.5919
-0.6005 5.2928 19.1278
2.6060 0.3192 15.2564
-0.0927 5.6105 11.4071
3.1715 0.0036 0.0219
2.6297 5.0221 15.2774
4.0014 2.6661 3.7943
2.5885 5.6575 22.9286
4.5308 2.3388 11.4692
3.1433 5.3167 7.6351
4.5425 2.9594 19.0804
7.1930 2.3022 22.9391
8.5222 0.0198 11.4373
7.1877 3.0035 7.6203
-1.3889 2.6505 15.2774
-0.0742 4.9921 3.7984
4.5161 7.6287 19.1192
-2.1963 3.9172 8.9691
-3.8527 6.8223 3.9107
-0.5512 2.4966 16.4570
0.2195 1.2351 5.1236
-0.5745 2.8262 14.0358
0.2820 1.3710 11.6055
0.5091 1.0246 18.9695
-0.3552 2.5409 0.1180
0.5720 1.0408 2.4777
-2.6329 6.7782 15.3864
-0.3451 2.8709 7.4459
-2.6775 6.9379 8.9101
-1.5492 5.1511 3.9053
-1.7179 5.4718 11.2836
-2.3918 6.6337 22.8280
-1.5143 5.1418 20.4911
-1.6068 5.5041 17.8581
-2.2062 6.6716 6.2784
1.9774 1.0218 13.8995
1.9213 1.1657 7.4662
0.3249 3.9367 19.0108
0.1872 4.1956 2.5825
0.5758 4.1231 11.6061
0.4942 4.3350 5.0032
2.2237 1.3503 0.1031
2.2565 1.2923 16.5298
-0.4914 7.6673 1.3394
0.1351 6.6036 12.6853
-0.3454 7.7874 7.7513
0.5378 6.3458 3.7059
0.4334 6.5739 19.1991
0.6275 6.2729 10.0894
4.1248 0.2905 21.7326
2.8836 2.4872 11.5861
1.9079 4.1885 0.1078
2.9986 2.4654 5.0972
4.2521 0.3133 15.1797
1.9819 4.2998 16.6140
2.1877 3.9959 7.4384
2.8854 2.8616 19.0016
2.3078 4.0594 13.9675
3.0641 2.8710 2.4516
4.8130 1.2325 3.6858
4.7581 1.3876 10.1498
1.9248 6.2876 21.5731
1.9680 6.5046 15.1835
2.2130 6.6572 7.7587
5.2301 1.4911 19.1942
2.3108 6.6610 1.1962
5.2225 1.6777 12.7859
4.0593 5.0178 8.9627
4.7642 3.9166 20.4126
4.2725 5.0335 15.3884
4.9595 3.9776 3.9189
5.1182 3.7285 17.7577
4.1358 5.6044 6.3679
6.5102 1.5097 7.7513
2.9530 7.6853 12.6952
6.4549 1.6524 1.2363
5.1846 3.8323 11.3062
4.2239 5.5030 22.8130
3.0370 7.6942 19.2115
7.4516 0.1282 3.6774
6.8862 1.4712 15.1746
6.9879 1.3271 21.6566
7.6099 0.2843 10.0947
6.4617 3.7415 6.3670
6.4895 3.7895 22.8146
4.7890 6.7603 17.9476
4.9071 6.6414 11.3019
6.9014 3.8678 15.3629
5.0904 7.0311 20.3589
```



Record 7
Density functional theory data (GGA-PBE) for a geometry-optimized Y6UO12 structure.

ΔH_f (0 K) (meV per atom): -3969
SG: R-3 (148)

The structure in POSCAR format:
```
Y6UO12
1.0
5.0172 2.8967 3.1553
-5.0172 2.8967 3.1553
0.0000 -5.7934 3.1553
Y U O
6 1 12
Cartesian
-3.5743 -1.0386 4.9754
-0.8877 -3.6147 4.4906
-2.6866 2.5761 4.4906
2.6866 -2.5761 4.9754
0.8876 3.6147 4.9754
3.5743 1.0386 4.4906
0.0000 0.0000 4.7330
-4.2092 0.9831 4.1234
-2.9560 -3.1537 5.3426
-1.1378 -1.3955 3.6554
1.2532 -4.1368 4.1234
-0.6396 1.6832 3.6554
-1.7775 0.2876 5.8106
1.7775 -0.2876 3.6554
0.6396 -1.6831 5.8106
-1.2532 4.1368 5.3426
1.1378 1.3955 5.8106
2.9560 3.1537 4.1234
4.2092 -0.9831 5.3426
```



Record 8
Density functional theory data (GGA-PBE) for a geometry-optimized ZnRh3 structure.

ΔH_f (0 K) (meV per atom): -169
SG: I4/mmm (139)

The structure in POSCAR format:
```
ZnRh3
1.0
-1.9144 1.9144 3.8422
1.9144 -1.9144 3.8422
1.9144 1.9144 -3.8422
Zn Rh
1 3
Cartesian
0.0000 0.0000 0.0000
1.9144 0.0000 1.9211
0.0000 0.0000 3.8422
0.0000 1.9144 1.9211
```